Material: Th2Al8Si2Au5
Method: DFT, GGA-PBE
State: relaxed

CIF file:
```
data_Th2Al8Si2Au5
_symmetry_space_group_name_H-M 'C m m m'
_symmetry_Int_Tables_number 65
_symmetry_space_group_name_Hall '-C 2 2'
_cell_length_a 4.298
_cell_length_b 35.774
_cell_length_c 4.296
_cell_angle_alpha 90.00
_cell_angle_beta 90.00
_cell_angle_gamma 90.00
loop_
_atom_site_label
_atom_site_fract_x
_atom_site_fract_y
_atom_site_fract_z
_atom_site_occupancy
Th1 0.000 0.202 0.000 1
Al1 0.000 0.042 0.500 1
Al2 0.000 0.125 0.500 1
Al3 0.000 0.375 0.000 1
Al4 0.000 0.458 0.000 1
Si1 0.000 0.266 0.500 1
Au1 0.000 0.083 0.000 1
Au2 0.000 0.335 0.500 1
Au3 0.000 0.500 0.500 1
```

Summary:
Calculated total energy ... -81.6 eV/f.u.
Energy of formation ... -9.60 eV per formula unit

Material: Mn3Be
Method: DFT, GGA-PBE
State: relaxed

CIF file:
```
data_Mn3Be
_symmetry_space_group_name_H-M 'P 63/m m c'
_symmetry_Int_Tables_number 194
_symmetry_space_group_name_Hall '-P 6c 2c'
_cell_length_a 4.7908
_cell_length_b 4.7908
_cell_length_c 4.0334
_cell_angle_alpha 90.00
_cell_angle_beta 90.00
_cell_angle_gamma 120.00
loop_
_atom_site_label
_atom_site_fract_x
_atom_site_fract_y
_atom_site_fract_z
_atom_site_occupancy
Mn1 0.1722 0.3443 0.2500 1
Be1 0.3333 0.6667 0.7500 1
```

Summary:
Calculated total energy ... -31.3 eV/f.u.
Energy of formation ... -0.03 eV per formula unit

Material: Sm2TiCo16
Method: DFT, GGA-PBE
State: relaxed

CIF file:
```
data_Sm2TiCo16
_symmetry_space_group_name_H-M 'R 3 m'
_symmetry_Int_Tables_number 160
_symmetry_space_group_name_Hall 'R 3 -2"'
_cell_length_a 8.3896
_cell_length_b 8.3896
_cell_length_c 12.1925
_cell_angle_alpha 90.00
_cell_angle_beta 90.00
_cell_angle_gamma 120.00
loop_
_atom_site_label
_atom_site_fract_x
_atom_site_fract_y
_atom_site_fract_z
_atom_site_occupancy
Sm1 0.0000 0.0000 0.0000 1
Sm2 0.0000 0.0000 0.3052 1
Ti1 0.0000 0.0000 0.7406 1
Co1 0.0000 0.0000 0.5504 1
Co2 0.0014 0.5007 0.4965 1
Co3 0.0041 0.5020 0.1497 1
Co4 0.0437 0.3758 0.3147 1
Co5 0.1689 0.3379 0.1359 1
```

Summary:
Calculated total energy ... -133.4 eV/f.u.
Energy of formation ... -2.32 eV per formula unit

Question: What is the energy of formation in the first record?
Answer: -9.60 eV per formula unit

Question: Look up the energy of formation of the second one.
Answer: -0.03 eV per formula unit